*i*
BaNdEuNbO6: relaxed, PBE. Values from VASP.

Geometry as Quantum ESPRESSO input:
```
&SYSTEM
  ibrav = 0, nat = 20, ntyp = 5
/
ATOMIC_SPECIES
O 16.00 O.upf
Nd 144.24 Nd.upf
Eu 151.96 Eu.upf
Nb 92.91 Nb.upf
Ba 137.33 Ba.upf
CELL_PARAMETERS angstrom
6.052 0.014 0.018
0.017 6.111 -0.028
0.030 -0.036 8.601
ATOMIC_POSITIONS angstrom
O 1.931 4.407 4.667
O 0.566 2.980 1.969
O 5.533 3.109 6.622
Nd 3.026 0.007 0.009
Eu 3.092 3.295 2.158
O 1.214 1.394 8.238
O 1.438 1.196 4.637
Eu 3.007 2.794 6.433
O 4.885 4.695 0.353
O 4.409 1.907 0.398
Nd 0.024 3.038 4.286
Nb 3.041 -0.011 4.310
O 4.660 4.893 3.954
O 3.471 0.160 6.297
O 4.168 1.682 3.924
Ba 6.012 0.198 2.167
O 1.690 4.182 8.192
Nb 0.009 3.056 -0.014
O 2.627 5.929 2.293
Ba 0.087 5.891 6.423
```

Values from the calculation:
Crystal system = triclinic
Spin magnetization = 14.00 μB/cell

---

*ii*
BaNdEuNbO6: relaxed, PBE. Values from VASP.

Geometry as Quantum ESPRESSO input:
```
&SYSTEM
  ibrav = 0, nat = 10, ntyp = 5
/
ATOMIC_SPECIES
Nb 92.91 Nb.upf
O 16.00 O.upf
Eu 151.96 Eu.upf
Ba 137.33 Ba.upf
Nd 144.24 Nd.upf
CELL_PARAMETERS angstrom
0.000 -4.330 -4.330
4.330 0.000 -4.330
4.330 -4.330 0.000
ATOMIC_POSITIONS angstrom
Nb 0.000 0.000 0.000
O 4.330 -6.646 -4.330
O 6.646 -4.330 -4.330
Eu 2.165 -2.165 -2.165
O 4.330 -4.330 -6.646
O 4.330 -2.015 -4.330
Ba 6.495 -6.495 -6.495
Nd 4.330 -4.330 -4.330
O 2.015 -4.330 -4.330
O 4.330 -4.330 -2.015
```

Values from the calculation:
Crystal system = cubic
Spin magnetization = 7.00 μB/cell

---

*i* is favored, and the nearest alternative lies 6.7 kJ/mol of atoms above it.

---

*i*
BaPrEuNbO6: relaxed, PBE. Values from VASP.

Geometry as Quantum ESPRESSO input:
```
&SYSTEM
  ibrav = 0, nat = 40, ntyp = 5
/
ATOMIC_SPECIES
O 16.00 O.upf
Eu 151.96 Eu.upf
Pr 140.91 Pr.upf
Nb 92.91 Nb.upf
Ba 137.33 Ba.upf
CELL_PARAMETERS angstrom
-1.266 -1.345 8.475
-5.634 -6.305 -1.842
6.394 -5.727 0.046
ATOMIC_POSITIONS angstrom
O -4.572 -7.747 0.651
O -0.962 -3.771 3.871
Eu 0.380 -6.016 -0.898
Pr 0.253 -9.360 0.772
Eu -0.633 -0.672 4.237
O -1.165 -10.406 6.878
Nb -0.759 -4.016 5.907
O -1.705 -8.069 1.022
Ba 2.564 -3.536 4.261
O -2.661 -6.685 -1.284
O 4.601 -5.062 2.447
Ba -2.817 -3.152 -0.921
Eu -3.450 -3.825 3.317
O 0.586 -8.380 5.759
O 1.540 -7.354 0.939
Pr -3.576 -7.169 4.987
Nb -2.944 -6.496 0.749
O -2.460 -2.956 6.159
Pr 2.438 -6.880 5.930
O -0.557 -4.262 7.944
O 3.371 -5.399 -0.179
Nb 3.070 -6.208 1.693
Nb -0.379 -10.032 5.010
O 1.225 -11.195 5.402
O -1.984 -8.869 4.617
O -4.182 -4.924 0.476
O 0.304 -2.260 6.002
O -1.345 -11.685 4.260
O -3.226 -6.308 2.782
Ba 0.000 0.000 0.000
O -1.315 -5.246 0.847
Pr -0.126 -3.344 1.670
O 2.770 -7.016 3.565
Ba -0.253 -6.688 3.340
Eu 3.197 -2.864 0.023
O 0.406 -9.659 3.141
O -1.822 -5.773 5.813
O 4.405 -7.678 1.322
O 1.736 -4.738 2.064
O 0.942 -5.077 5.656
```

Values from the calculation:
Crystal system = orthorhombic
Spin magnetization = 0.00 μB/cell

---

*ii*
BaPrEuNbO6: relaxed, PBE. Values from VASP.

Geometry as Quantum ESPRESSO input:
```
&SYSTEM
  ibrav = 0, nat = 10, ntyp = 5
/
ATOMIC_SPECIES
O 16.00 O.upf
Nb 92.91 Nb.upf
Eu 151.96 Eu.upf
Pr 140.91 Pr.upf
Ba 137.33 Ba.upf
CELL_PARAMETERS angstrom
0.000 -4.349 -4.349
4.349 0.000 -4.349
4.349 -4.349 0.000
ATOMIC_POSITIONS angstrom
O 2.017 -4.349 -4.349
Nb 0.000 0.000 0.000
O 4.349 -4.349 -2.017
Eu 2.174 -2.174 -2.174
O 4.349 -4.349 -6.681
Pr 4.349 -4.349 -4.349
O 6.681 -4.349 -4.349
O 4.349 -6.681 -4.349
Ba 6.523 -6.523 -6.523
O 4.349 -2.017 -4.349
```

Values from the calculation:
Crystal system = cubic
Spin magnetization = 7.00 μB/cell

---

*i* is favored, and the nearest alternative lies 5.8 kJ/mol of atoms above it.

---

*i*
BaSrEuNbO6: relaxed, PBE. Values from VASP.

Geometry as Quantum ESPRESSO input:
```
&SYSTEM
  ibrav = 0, nat = 10, ntyp = 5
/
ATOMIC_SPECIES
O 16.00 O.upf
Sr 87.62 Sr.upf
Nb 92.91 Nb.upf
Eu 151.96 Eu.upf
Ba 137.33 Ba.upf
CELL_PARAMETERS angstrom
-5.128 3.137 -0.864
-4.526 -2.414 -3.252
-5.125 -1.741 2.754
ATOMIC_POSITIONS angstrom
O -8.451 -2.220 -0.595
Sr -3.695 -0.254 -0.340
O -8.733 0.385 0.526
O -8.452 0.069 -2.293
Nb -7.389 -0.509 -0.681
O -6.327 -1.087 0.931
Eu 0.000 0.000 0.000
O -6.045 -1.403 -1.887
Ba -11.084 -0.763 -1.021
O -6.328 1.202 -0.767
```

Values from the calculation:
Crystal system = cubic
Spin magnetization = 6.00 μB/cell

---

*ii*
BaSrEuNbO6: relaxed, PBE. Values from VASP.

Geometry as Quantum ESPRESSO input:
```
&SYSTEM
  ibrav = 0, nat = 40, ntyp = 5
/
ATOMIC_SPECIES
O 16.00 O.upf
Sr 87.62 Sr.upf
Nb 92.91 Nb.upf
Ba 137.33 Ba.upf
Eu 151.96 Eu.upf
CELL_PARAMETERS angstrom
8.522 0.000 0.000
0.000 8.524 0.000
0.000 0.000 8.541
ATOMIC_POSITIONS angstrom
O 4.104 2.481 1.823
O 6.043 6.669 4.116
O 6.191 8.366 1.896
Sr 4.261 4.262 0.000
O 2.331 0.158 1.896
Nb 2.126 2.162 2.142
Ba 0.000 0.000 0.000
O 1.831 6.091 8.395
Nb 2.126 6.362 6.400
Ba 4.261 0.000 0.000
O 6.692 2.433 8.395
O 2.479 6.669 4.425
Eu 2.138 6.371 2.138
Sr 0.000 4.262 0.000
Ba 4.261 4.262 4.271
Ba 0.000 0.000 4.271
O 6.043 1.855 4.425
Eu 6.384 6.371 6.404
Eu 2.138 2.153 6.404
O 1.831 2.433 0.146
Nb 6.396 2.162 6.400
Eu 6.384 2.153 2.138
O 2.331 8.366 6.646
O 1.833 4.120 2.501
O 6.690 4.404 2.501
O 6.690 4.120 6.040
O 6.191 0.158 6.646
Sr 4.261 0.000 4.271
Sr 0.000 4.262 4.271
O 6.692 6.091 0.146
O 1.833 4.404 6.040
O 4.418 2.481 6.719
O 2.479 1.855 4.116
O 8.383 6.612 2.359
Nb 6.396 6.362 2.142
O 0.139 6.612 6.183
O 8.383 1.912 6.183
O 0.139 1.912 2.359
O 4.418 6.043 1.823
O 4.104 6.043 6.719
```

Values from the calculation:
Crystal system = orthorhombic
Spin magnetization = 24.00 μB/cell

---

*ii* is favored, and the nearest alternative lies 3.8 kJ/mol of atoms above it.

---

*i*
BaSmEuSbO6: relaxed, PBE. Values from VASP.

Geometry as Quantum ESPRESSO input:
```
&SYSTEM
  ibrav = 0, nat = 10, ntyp = 5
/
ATOMIC_SPECIES
Eu 151.96 Eu.upf
O 16.00 O.upf
Sm 150.36 Sm.upf
Sb 121.76 Sb.upf
Ba 137.33 Ba.upf
CELL_PARAMETERS angstrom
0.000 -4.277 -4.277
4.277 0.000 -4.277
4.277 -4.277 0.000
ATOMIC_POSITIONS angstrom
Eu 2.139 -2.139 -2.139
O 6.552 -4.277 -4.277
O 4.277 -6.552 -4.277
O 4.277 -4.277 -6.552
Sm 4.277 -4.277 -4.277
O 2.003 -4.277 -4.277
Sb 0.000 0.000 0.000
O 4.277 -2.003 -4.277
Ba 6.416 -6.416 -6.416
O 4.277 -4.277 -2.003
```

Values from the calculation:
Crystal system = cubic
Spin magnetization = 7.00 μB/cell

---

*ii*
BaSmEuSbO6: relaxed, PBE. Values from VASP.

Geometry as Quantum ESPRESSO input:
```
&SYSTEM
  ibrav = 0, nat = 40, ntyp = 5
/
ATOMIC_SPECIES
Eu 151.96 Eu.upf
O 16.00 O.upf
Sb 121.76 Sb.upf
Ba 137.33 Ba.upf
Sm 150.36 Sm.upf
CELL_PARAMETERS angstrom
8.519 0.000 0.000
0.000 8.522 0.000
0.000 0.000 8.508
ATOMIC_POSITIONS angstrom
Eu 4.260 4.261 0.000
O 0.153 6.610 2.322
Sb 6.360 2.139 2.127
Ba 0.000 4.261 0.000
O 2.462 1.831 4.409
O 0.153 1.913 6.185
O 4.121 2.469 6.669
O 8.366 1.913 2.322
O 6.651 4.112 2.463
Sm 6.366 6.386 2.132
O 6.057 6.691 4.409
O 8.366 6.610 6.185
Ba 0.000 0.000 0.000
O 1.937 2.355 8.372
Sb 2.159 6.383 2.127
O 6.088 0.147 1.844
O 2.431 0.147 6.664
Eu 4.260 0.000 0.000
Sb 2.159 2.139 6.381
O 6.057 1.831 4.099
O 4.398 6.053 6.669
O 4.121 6.053 1.839
O 4.398 2.469 1.839
Ba 0.000 0.000 4.254
Sb 6.360 6.383 6.381
O 2.462 6.691 4.099
O 1.868 4.112 6.045
O 2.431 8.375 1.844
Sm 6.366 2.136 6.376
Eu 0.000 4.261 4.254
O 6.583 2.355 0.135
Sm 2.153 6.386 6.376
Ba 4.260 4.261 4.254
Sm 2.153 2.136 2.132
Eu 4.260 0.000 4.254
O 6.651 4.410 6.045
O 1.868 4.410 2.463
O 1.937 6.167 0.135
O 6.088 8.375 6.664
O 6.583 6.167 8.372
```

Values from the calculation:
Crystal system = orthorhombic
Spin magnetization = 0.00 μB/cell

---

*ii* is favored, and the nearest alternative lies 2.5 kJ/mol of atoms above it.

---

*i*
BaSrEuSbO6: relaxed, PBE. Values from VASP.

Geometry as Quantum ESPRESSO input:
```
&SYSTEM
  ibrav = 0, nat = 40, ntyp = 5
/
ATOMIC_SPECIES
O 16.00 O.upf
Eu 151.96 Eu.upf
Sr 87.62 Sr.upf
Sb 121.76 Sb.upf
Ba 137.33 Ba.upf
CELL_PARAMETERS angstrom
8.528 0.000 0.000
0.000 8.532 0.000
0.000 0.000 8.529
ATOMIC_POSITIONS angstrom
O 6.666 4.390 2.408
O 8.392 6.617 2.301
O 6.666 4.143 6.121
O 8.392 1.915 6.228
O 2.386 0.171 1.840
O 4.110 2.433 1.854
O 6.190 1.949 4.423
Eu 2.134 2.147 6.410
O 1.862 2.446 0.131
O 6.142 8.361 1.840
Sr 4.264 4.266 0.000
O 1.862 4.143 2.408
Sb 6.405 2.169 6.423
O 6.190 6.583 4.105
O 6.666 6.086 0.131
O 4.110 6.099 6.675
O 6.666 2.446 8.398
O 1.862 6.086 8.398
O 0.136 1.915 2.301
O 4.418 2.433 6.675
O 4.418 6.099 1.854
Eu 6.394 2.147 2.118
Sr 0.000 4.266 4.264
O 2.338 1.949 4.105
Sb 6.405 6.363 2.106
Ba 0.000 0.000 0.000
Eu 2.134 6.385 2.118
Sr 4.264 0.000 0.000
Sb 2.123 6.363 6.423
O 0.136 6.617 6.228
O 2.338 6.583 4.423
Ba 0.000 0.000 4.264
Ba 4.264 0.000 4.264
O 6.142 0.171 6.689
Sr 0.000 4.266 0.000
Ba 4.264 4.266 4.264
Eu 6.394 6.385 6.410
Sb 2.123 2.169 2.106
O 2.386 8.361 6.689
O 1.862 4.390 6.121
```

Values from the calculation:
Crystal system = orthorhombic
Spin magnetization = 24.00 μB/cell

---

*ii*
BaSrEuSbO6: relaxed, PBE. Values from VASP.

Geometry as Quantum ESPRESSO input:
```
&SYSTEM
  ibrav = 0, nat = 10, ntyp = 5
/
ATOMIC_SPECIES
O 16.00 O.upf
Eu 151.96 Eu.upf
Ba 137.33 Ba.upf
Sb 121.76 Sb.upf
Sr 87.62 Sr.upf
CELL_PARAMETERS angstrom
0.000 -4.282 -4.282
4.282 0.000 -4.282
4.282 -4.282 0.000
ATOMIC_POSITIONS angstrom
O 4.282 -2.271 -4.282
Eu 0.000 0.000 0.000
Ba 2.141 -2.141 -2.141
Sb 4.282 -4.282 -4.282
O 4.282 -4.282 -6.292
O 2.271 -4.282 -4.282
O 6.292 -4.282 -4.282
Sr 6.423 -6.423 -6.423
O 4.282 -6.292 -4.282
O 4.282 -4.282 -2.271
```

Values from the calculation:
Crystal system = cubic
Spin magnetization = 6.00 μB/cell

---

*i* is favored, and the nearest alternative lies 2.1 kJ/mol of atoms above it.

---

*i*
BaSrEuSeO6: relaxed, PBE. Values from VASP.

Geometry as Quantum ESPRESSO input:
```
&SYSTEM
  ibrav = 0, nat = 10, ntyp = 5
/
ATOMIC_SPECIES
O 16.00 O.upf
Eu 151.96 Eu.upf
Ba 137.33 Ba.upf
Se 78.96 Se.upf
Sr 87.62 Sr.upf
CELL_PARAMETERS angstrom
-3.674 -3.619 -2.957
-1.111 -5.457 2.081
-5.349 -1.291 2.250
ATOMIC_POSITIONS angstrom
O -4.282 -4.302 -1.367
O -7.296 -5.029 -0.099
Eu -2.533 -2.592 0.344
O -2.837 -5.337 1.473
O -5.852 -6.065 2.741
Ba -7.600 -7.775 1.031
Se 0.000 0.000 0.000
O -5.226 -2.990 1.568
Sr -5.067 -5.183 0.687
O -4.908 -7.377 -0.194
```

Values from the calculation:
Crystal system = cubic
Spin magnetization = 7.00 μB/cell

---

*ii*
BaSrEuSeO6: relaxed, PBE. Values from VASP.

Geometry as Quantum ESPRESSO input:
```
&SYSTEM
  ibrav = 0, nat = 40, ntyp = 5
/
ATOMIC_SPECIES
O 16.00 O.upf
Ba 137.33 Ba.upf
Sr 87.62 Sr.upf
Se 78.96 Se.upf
Eu 151.96 Eu.upf
CELL_PARAMETERS angstrom
-2.870 -7.066 -3.552
6.827 -4.135 2.708
-4.033 -1.965 7.167
ATOMIC_POSITIONS angstrom
O -2.539 -4.600 6.947
Ba 0.000 0.000 0.000
O -1.295 -10.397 6.058
O -2.511 -6.038 4.780
O -0.401 -5.410 0.419
Sr 1.953 -8.881 1.161
O 4.071 -3.976 3.978
O -2.728 -5.710 -0.893
Se -0.088 -9.865 4.718
Sr -3.459 -7.804 3.393
O -0.232 -8.060 0.572
O 1.358 -10.641 5.616
O 0.123 -8.254 5.654
Eu 1.979 -5.600 -0.422
Se 3.365 -5.331 2.936
Se -1.996 -4.279 5.175
Ba -2.016 -0.982 3.584
Sr 1.369 -6.342 6.510
Se -1.432 -6.856 -0.181
Eu 3.414 -2.067 1.354
Ba -1.435 -3.533 -1.776
Eu 1.397 -3.050 4.938
O 2.638 -6.629 1.795
O 4.108 -4.518 1.412
O -1.501 -4.013 3.389
O -1.482 -9.137 3.725
O -0.401 -11.458 3.831
O 2.623 -6.205 4.416
Ba -0.038 -6.583 3.162
O 1.146 -9.289 3.432
Eu -3.452 -4.515 1.808
O -3.682 -3.619 4.705
O 1.834 -4.287 2.769
O 4.901 -6.360 3.220
O -1.461 -2.578 5.669
O -2.360 -8.319 -0.831
O -0.425 -6.816 -1.769
O -0.272 -4.846 5.582
Sr -0.015 -3.303 1.583
O -2.419 -6.824 1.410
```

Values from the calculation:
Crystal system = orthorhombic
Spin magnetization = 27.91 μB/cell

---

*ii* is favored, and the nearest alternative lies 1.8 kJ/mol of atoms above it.

---

*i*
Ba3RuF6: relaxed, PBE. Values from VASP.

Geometry as Quantum ESPRESSO input:
```
&SYSTEM
  ibrav = 0, nat = 10, ntyp = 3
/
ATOMIC_SPECIES
Ru 101.07 Ru.upf
Ba 137.33 Ba.upf
F 19.00 F.upf
CELL_PARAMETERS angstrom
-0.249 6.099 -2.310
7.704 -2.275 -2.454
-5.739 -0.587 -3.101
ATOMIC_POSITIONS angstrom
Ru 0.000 0.000 0.000
Ba 0.982 -1.431 -2.777
F -4.182 4.052 -5.616
Ba -0.124 3.050 -1.155
Ba -2.870 -0.293 -1.551
F -0.585 0.724 -2.501
F 5.897 -0.814 -2.249
F -1.255 3.924 -3.475
F 2.971 -0.686 -4.390
F 2.300 2.514 -5.364
```

Values from the calculation:
Crystal system = triclinic
Spin magnetization = 2.00 μB/cell

---

*ii*
Ba3RuF6: relaxed, PBE. Values from VASP.

Geometry as Quantum ESPRESSO input:
```
&SYSTEM
  ibrav = 0, nat = 10, ntyp = 3
/
ATOMIC_SPECIES
F 19.00 F.upf
Ba 137.33 Ba.upf
Ru 101.07 Ru.upf
CELL_PARAMETERS angstrom
3.036 0.124 -5.581
-4.654 6.703 -0.730
6.584 -0.752 1.800
ATOMIC_POSITIONS angstrom
F 4.049 0.728 -3.735
F 3.368 4.410 0.469
F 2.168 4.561 -3.645
F 0.917 5.347 -0.777
Ba 0.965 2.975 0.535
Ru 0.000 0.000 0.000
F 1.599 1.666 -4.981
F 2.798 1.514 -0.866
Ba 3.292 -0.376 0.900
Ba 1.518 0.062 -2.791
```

Values from the calculation:
Crystal system = triclinic
Spin magnetization = 0.00 μB/cell

---

*ii* is favored, and the nearest alternative lies 0.9 kJ/mol of atoms above it.